Here is KLaF4 after structural relaxation from Materials Project. Energies are from r2SCAN.

Summary:
Magnetization   0.000 μB per formula unit
Formation enthalpy at 0 K   -386 kJ/mol of atoms

Lattice parameters (Å, degrees): 4.0735 4.0735 6.1535 90.00 90.00 90.00
With the nearest neighbours (Å) after each atom.
Positions (direct):
F1 0.0000 0.5000 0.2836  2 La 2.43, 1 F 2.66, 2 K 2.68
F2 0.5000 0.0000 0.7164  2 La 2.43, 1 F 2.66, 2 K 2.68
F3 0.5000 0.0000 0.2836  2 La 2.43, 1 F 2.66, 2 K 2.68
F4 0.0000 0.5000 0.7164  2 La 2.43, 1 F 2.66, 2 K 2.68
K1 0.0000 0.0000 0.0000  8 F 2.68
La1 0.5000 0.5000 0.5000  8 F 2.43